Version w
## MgV3CoSn2P6O24 (PBE with a Hubbard U)

Data for MgV3CoSn2P6O24 after structural relaxation.

Computed properties:
Crystal system ... triclinic
Total magnetization ... 7.92 Bohr magnetons per cell

```
37
Lattice="-4.004 0.054 8.300 -7.432 4.317 0.550 -7.269 -4.487 1.100" Properties=species:S:1:pos:R:3 pbc="T T T"
O -3.283 -0.842 1.044
O -7.928 -3.371 5.759
O -6.121 -0.439 3.891
O -6.619 -2.746 3.263
O -8.957 -1.630 7.132
O -6.180 -1.139 1.383
O -11.961 2.575 6.983
O -5.375 1.125 6.258
O -13.819 -1.736 8.856
O -12.573 0.709 8.613
O -12.586 0.440 6.006
O -7.208 2.590 5.252
O -10.437 0.542 7.268
O -8.757 3.826 3.031
O -10.936 3.104 4.137
O -8.330 -0.887 2.703
O -7.812 0.762 6.865
O -4.974 1.541 1.251
O -11.199 -2.357 4.635
O -11.036 -0.766 2.785
O -15.330 0.721 8.879
O -9.636 1.476 2.734
O -10.044 -3.924 7.076
O -13.284 -1.168 3.743
P -6.756 1.874 6.513
P -11.904 1.030 7.287
P -11.973 -1.875 3.390
P -10.018 2.970 2.874
P -6.840 -1.269 2.758
P -8.661 -3.175 7.083
Co -4.338 0.533 4.534
V -8.892 -0.085 8.533
V -14.393 -0.275 5.100
V -9.812 -0.117 1.586
Sn -4.073 0.108 7.753
Sn -9.195 -0.262 5.357
Mg -12.481 2.169 4.949
```

Version x
## MgV3CoSn2P6O24 (PBE with a Hubbard U)

Data for MgV3CoSn2P6O24 after structural relaxation.

Computed properties:
Crystal system ... triclinic
Total magnetization ... 0.71 Bohr magnetons per cell

```
37
Lattice="9.236 0.330 0.220 4.305 -7.543 0.008 4.315 -2.512 -7.048" Properties=species:S:1:pos:R:3 pbc="T T T"
Sn 8.711 -4.938 -3.543
Sn 9.017 0.157 0.106
O 9.542 -5.102 -6.858
O 7.000 -7.060 -0.350
O 6.430 -4.488 -4.120
O 14.489 -5.687 -6.041
O 12.164 -7.500 -1.854
O 7.959 -6.325 -5.356
O 9.734 -7.654 -6.531
O 11.113 -2.358 -6.395
O 11.551 -7.358 -4.312
O 11.274 -5.333 -2.883
O 12.467 -7.053 -6.910
O 3.573 -4.104 -0.887
O 13.610 -6.132 -3.346
O 4.204 -3.297 -3.526
O 2.579 -1.565 -1.850
O 6.335 -2.603 -2.461
O 5.947 -2.156 -4.958
O 9.055 -7.920 -1.607
O 10.547 -3.000 -4.020
O 8.311 -2.010 -0.124
O 9.809 -3.581 -1.448
O 8.816 -1.859 -5.379
O 7.200 -6.725 -2.825
O 15.251 -8.129 -4.639
P 7.525 -7.694 -1.664
P 9.111 -3.357 -0.071
P 5.749 -3.139 -3.794
P 8.798 -6.450 -6.658
P 10.337 -1.894 -5.110
P 12.171 -6.569 -3.103
V 11.539 -3.361 -2.367
V 6.055 -6.508 -4.555
V 11.485 -8.410 -5.872
Co 6.558 -1.240 -0.843
Mg 4.462 -2.396 -1.676
```

Relative stability in kJ/mol of atoms, measured from the most stable structure: version w 0.0; version x 8.5

Version w
## Li7Co5O12 (PBE with a Hubbard U)

Data for Li7Co5O12 after structural relaxation.

Computed properties:
Crystal system ... triclinic
Total magnetization ... 3.21 Bohr magnetons per cell

```
24
Lattice="-2.097 2.078 -0.472 -1.582 -1.925 7.100 7.082 5.953 3.022" Properties=species:S:1:pos:R:3 pbc="T T T"
O 1.135 3.695 1.102
O 1.503 1.031 6.162
O -1.688 1.438 3.270
O 5.091 4.667 6.381
O 4.853 5.905 3.977
O -1.449 0.201 5.673
O 2.103 3.730 6.018
O 0.299 0.661 1.372
O 3.104 5.445 8.279
O 2.268 2.411 8.549
O 1.300 2.375 3.632
O 1.900 5.074 3.488
Co -2.833 0.478 4.413
Co 0.834 2.757 7.118
Co 2.750 2.014 5.061
Co 6.237 5.628 5.238
Co 2.569 3.348 2.532
Li 0.106 -0.156 7.213
Li 3.625 3.571 7.451
Li -0.045 1.221 4.711
Li 3.448 4.884 4.939
Li -1.049 1.039 -0.236
Li -0.221 2.535 2.200
Li 3.297 6.262 2.437
```

Version x
## Li7Co5O12 (PBE with a Hubbard U)

Data for Li7Co5O12 after structural relaxation.

Computed properties:
Crystal system ... triclinic
Total magnetization ... 2.00 Bohr magnetons per cell

```
24
Lattice="2.924 0.000 0.000 -1.417 6.248 0.000 -0.420 -2.994 11.443" Properties=species:S:1:pos:R:3 pbc="T T T"
O -1.081 2.978 9.033
O -0.881 3.587 6.319
O 0.482 1.385 7.249
O 2.168 0.276 2.409
O -0.653 4.970 0.530
O 0.748 2.881 1.274
O -0.832 4.436 3.195
O 1.968 -0.333 5.124
O 0.605 1.869 4.194
O 1.919 -1.182 8.247
O 0.340 0.373 10.169
O 1.740 -1.716 10.913
Co 0.593 0.133 3.896
Co 0.494 3.121 7.547
Co -0.709 3.124 0.000
Co 0.714 4.710 1.887
Co 0.373 -1.456 9.556
Li 2.087 2.366 2.898
Li 0.580 3.905 4.810
Li 0.507 -0.651 6.633
Li 0.385 2.476 10.469
Li -1.000 0.888 8.545
Li -0.918 1.627 5.721
Li 0.702 0.778 0.973
```

Relative stability in kJ/mol of atoms, measured from the most stable structure: version w 3.4; version x 0.0

Version w
## Li7Co5O12 (PBE with a Hubbard U)

Data for Li7Co5O12 after structural relaxation.

Computed properties:
Crystal system ... triclinic
Total magnetization ... 1.74 Bohr magnetons per cell

```
24
Lattice="2.991 0.000 0.000 0.177 5.963 0.000 0.094 2.785 11.953" Properties=species:S:1:pos:R:3 pbc="T T T"
O 1.710 4.290 3.985
O 1.739 7.299 11.870
O 1.822 7.246 8.036
O 1.523 1.450 0.083
O 3.066 2.881 2.147
O 3.081 2.753 10.039
O 1.440 1.502 3.917
O 0.185 5.878 6.164
O 1.552 4.458 7.968
O 0.181 5.996 1.914
O 3.077 2.870 5.789
O 0.196 5.868 9.806
Co 1.721 7.285 9.935
Co 3.078 2.982 4.060
Co 1.541 1.464 2.019
Co 0.185 5.766 7.893
Co 0.000 0.000 0.000
Li 1.631 4.374 5.977
Li 1.629 4.316 9.948
Li 1.542 1.393 5.977
Li 0.089 2.982 0.000
Li 0.181 5.856 4.039
Li 1.633 4.432 2.005
Li 3.081 2.893 7.915
```

Version x
## Li7Co5O12 (PBE with a Hubbard U)

Data for Li7Co5O12 after structural relaxation.

Computed properties:
Crystal system ... monoclinic

```
24
Lattice="8.730 0.000 0.000 0.000 5.030 0.000 0.000 1.723 4.809" Properties=species:S:1:pos:R:3 pbc="T T T"
O 7.338 4.145 1.046
O 5.997 1.680 1.061
O 4.365 2.438 3.627
O 0.000 1.774 1.060
O 1.392 4.145 1.046
O 4.365 4.315 1.182
O 5.997 5.073 3.748
O 0.000 4.979 3.749
O 2.733 1.680 1.061
O 2.733 5.073 3.748
O 1.392 2.608 3.762
O 7.338 2.608 3.762
Co 1.446 2.515 0.000
Co 7.284 2.515 0.000
Co 2.951 0.000 0.000
Co 5.779 0.000 0.000
Co 0.000 0.000 0.000
Li 1.464 0.862 2.404
Li 5.736 3.376 2.404
Li 0.000 3.376 2.404
Li 4.365 2.515 0.000
Li 4.365 0.862 2.404
Li 7.265 0.862 2.404
Li 2.994 3.376 2.404
```

Version y
## Li7Co5O12 (PBE with a Hubbard U)

Data for Li7Co5O12 after structural relaxation.

Computed properties:
Crystal system ... monoclinic

```
24
Lattice="-4.456 2.030 -0.267 0.477 -4.681 1.381 -0.654 1.831 9.411" Properties=species:S:1:pos:R:3 pbc="T T T"
Li -0.672 -0.367 7.612
Li -1.133 -0.190 2.617
Li -2.273 1.810 7.077
Li -3.960 -0.454 2.913
Li -3.499 -0.630 7.908
Li 0.000 0.000 0.000
Li -2.360 -2.630 3.447
Co -3.974 1.845 4.708
Co -2.806 -0.214 0.284
Co -1.172 -2.437 0.830
Co -2.316 -0.410 5.262
Co -0.658 -2.666 5.816
O -2.094 -1.655 6.692
O -4.224 0.638 1.245
O -0.923 -1.363 4.372
O -2.152 0.580 8.802
O -0.409 -1.459 9.280
O -2.538 0.834 3.833
O -2.481 -1.400 1.723
O -3.719 -1.594 4.641
O -1.067 -3.657 2.300
O -3.566 2.837 8.225
O -3.710 0.543 6.152
O -0.914 0.774 5.883
```

Relative stability in kJ/mol of atoms, measured from the most stable structure: version w 9.4; version x 3.9; version y 0.0